## Rb2SbBr6 (PBE)

Data for a geometry-optimized Rb2SbBr6 structure.

a b c (Å): 7.7870 7.7870 7.7870
angles (deg): 60.00 60.00 60.00
Element x y z (fractional)
Rb (0.2500, 0.2500, 0.2500)
Rb (0.7500, 0.7500, 0.7500)
Sb (0.0000, 0.0000, 0.0000)
Br (0.2460, 0.2460, 0.7540)
Br (0.2460, 0.7540, 0.2460)
Br (0.2460, 0.7540, 0.7540)
Br (0.7540, 0.2460, 0.2460)
Br (0.7540, 0.2460, 0.7540)
Br (0.7540, 0.7540, 0.2460)

Properties
* formation energy: -1.468 eV per atom
* uncorrected energy: -2.880 eV per atom
* energy with MP2020 corrections: -3.24 eV/atom



## Ce6In14Pt11 (PBE)

Data for a geometry-optimized Ce6In14Pt11 structure.

a b c (Å): 11.6654 11.6654 15.2026
angles (deg): 118.91 118.91 22.14
Element x y z (fractional)
Ce (0.0000, 0.0000, 0.0000)
Ce (0.2286, 0.2286, 0.5674)
Ce (0.2494, 0.2494, 0.8398)
Ce (0.4877, 0.4877, 0.5586)
Ce (0.5090, 0.5090, 0.8295)
Ce (0.7384, 0.7384, 0.3877)
In (0.1048, 0.1048, 0.6156)
In (0.1405, 0.1405, 0.9554)
In (0.1646, 0.1646, 0.1931)
In (0.3057, 0.3057, 0.0970)
In (0.4327, 0.4327, 0.2987)
In (0.5719, 0.5719, 0.2007)
In (0.5974, 0.5974, 0.4405)
In (0.6311, 0.6311, 0.7799)
In (0.7512, 0.7512, 0.1720)
In (0.8309, 0.8309, 0.7641)
In (0.8578, 0.8578, 0.9958)
In (0.8826, 0.8826, 0.3995)
In (0.9064, 0.9064, 0.6303)
In (0.9861, 0.9861, 0.2204)
Pt (0.0076, 0.0076, 0.4165)
Pt (0.0465, 0.0465, 0.7409)
Pt (0.1290, 0.1290, 0.3469)
Pt (0.3067, 0.3067, 0.2943)
Pt (0.3420, 0.3420, 0.4975)
Pt (0.3687, 0.3687, 0.6964)
Pt (0.3954, 0.3954, 0.8948)
Pt (0.4312, 0.4312, 0.0988)
Pt (0.6083, 0.6083, 0.0485)
Pt (0.6904, 0.6904, 0.6558)
Pt (0.7315, 0.7315, 0.9774)

Properties
* formation energy: -0.685 eV per atom
* total magnetization: 3.3 Bohr magnetons per cell
* uncorrected energy: -5.231 eV per atom



## ErAlSi (PBE)

Data for a geometry-optimized ErAlSi structure.

a b c (Å): 7.7877 7.7877 7.7877
angles (deg): 149.64 149.64 43.47
Element x y z (fractional)
Er (0.0000, 0.0000, 0.0000)
Er (0.7500, 0.2500, 0.5000)
Al (0.3345, 0.8345, 0.5000)
Al (0.5845, 0.5845, 0.0000)
Si (0.1696, 0.6696, 0.5000)
Si (0.4196, 0.4196, 0.0000)

Properties
* formation energy: -0.539 eV per atom
* total magnetization: 0.0 Bohr magnetons per cell
* uncorrected energy: -5.142 eV per atom
* energy with MP2020 corrections: -5.12 eV/atom



## NaInN (PBE)

Data for a geometry-optimized NaInN structure.

a b c (Å): 3.5141 3.5141 10.8802
angles (deg): 90.00 90.00 120.08
Element x y z (fractional)
Na (0.1671, 0.8329, 0.5000)
Na (0.8329, 0.1671, 0.0000)
In (0.4988, 0.5012, 0.2732)
In (0.5012, 0.4988, 0.7732)
N (0.1685, 0.8315, 0.8551)
N (0.8315, 0.1685, 0.3551)

Properties
* formation energy: 0.062 eV per atom
* total magnetization: 1.2 Bohr magnetons per cell
* uncorrected energy: -3.955 eV per atom
* energy with MP2020 corrections: -4.07 eV/atom



## CaTiSbP3O12 (PBE)

Data for a geometry-optimized CaTiSbP3O12 structure.

a b c (Å): 9.0254 9.0254 9.0254
angles (deg): 59.86 59.86 59.86
Element x y z (fractional)
Ca (0.0000, 0.0000, 0.0000)
Ca (0.5000, 0.5000, 0.5000)
Ti (0.3464, 0.3464, 0.3464)
Ti (0.8464, 0.8464, 0.8464)
Sb (0.1481, 0.1481, 0.1481)
Sb (0.6481, 0.6481, 0.6481)
P (0.0545, 0.4576, 0.7297)
P (0.2297, 0.9576, 0.5545)
P (0.4576, 0.7297, 0.0545)
P (0.5545, 0.2297, 0.9576)
P (0.7297, 0.0545, 0.4576)
P (0.9576, 0.5545, 0.2297)
O (0.0664, 0.9521, 0.7357)
O (0.0757, 0.2751, 0.8869)
O (0.1270, 0.4935, 0.2861)
O (0.1702, 0.9823, 0.4107)
O (0.2357, 0.4521, 0.5664)
O (0.2751, 0.8869, 0.0757)
O (0.2861, 0.1270, 0.4935)
O (0.3869, 0.7751, 0.5757)
O (0.4107, 0.1702, 0.9823)
O (0.4521, 0.5664, 0.2357)
O (0.4823, 0.6702, 0.9107)
O (0.4935, 0.2861, 0.1270)
O (0.5664, 0.2357, 0.4521)
O (0.5757, 0.3869, 0.7751)
O (0.6270, 0.7861, 0.9935)
O (0.6702, 0.9107, 0.4823)
O (0.7357, 0.0664, 0.9521)
O (0.7751, 0.5757, 0.3869)
O (0.7861, 0.9935, 0.6270)
O (0.8869, 0.0757, 0.2751)
O (0.9107, 0.4823, 0.6702)
O (0.9521, 0.7357, 0.0664)
O (0.9823, 0.4107, 0.1702)
O (0.9935, 0.6270, 0.7861)

Properties
* formation energy: -2.803 eV per atom
* total magnetization: 0.0 Bohr magnetons per cell
* uncorrected energy: -7.325 eV per atom
* energy with MP2020 corrections: -7.78 eV/atom



## CdSnAs2 (PBE)

Data for a geometry-optimized CdSnAs2 structure.

a b c (Å): 4.3585 4.3585 6.1925
angles (deg): 90.00 90.00 90.00
Element x y z (fractional)
Cd (0.0000, 0.0000, 0.0000)
Sn (0.5000, 0.5000, 0.5000)
As (0.0000, 0.5000, 0.2482)
As (0.5000, 0.0000, 0.7518)

Properties
* formation energy: -0.110 eV per atom
* total magnetization: 0.0 Bohr magnetons per cell
* uncorrected energy: -3.672 eV per atom



## Sr5Nb5O17 (PBE)

Data for a geometry-optimized Sr5Nb5O17 structure.

a b c (Å): 5.7670 33.1239 4.0495
angles (deg): 90.00 90.00 90.00
Element x y z (fractional)
Sr (0.0000, 0.0000, 0.0000)
Sr (0.0016, 0.4106, 0.4897)
Sr (0.0651, 0.2159, 0.9893)
Sr (0.4349, 0.7159, 0.4893)
Sr (0.4984, 0.9106, 0.9897)
Sr (0.5000, 0.5000, 0.5000)
Sr (0.5016, 0.0894, 0.9897)
Sr (0.5651, 0.2841, 0.4893)
Sr (0.9349, 0.7841, 0.9893)
Sr (0.9984, 0.5894, 0.4897)
Nb (0.0000, 0.5000, 0.9905)
Nb (0.0063, 0.0903, 0.4934)
Nb (0.0351, 0.3232, 0.9955)
Nb (0.4649, 0.8232, 0.4955)
Nb (0.4937, 0.5903, 0.9934)
Nb (0.5000, 0.0000, 0.4905)
Nb (0.5063, 0.4097, 0.9934)
Nb (0.5351, 0.1768, 0.4955)
Nb (0.9649, 0.6768, 0.9955)
Nb (0.9937, 0.9097, 0.4934)
O (0.0000, 0.5000, 0.4939)
O (0.0027, 0.3312, 0.4953)
O (0.0118, 0.9172, 0.9962)
O (0.1833, 0.7202, 0.9897)
O (0.2010, 0.7911, 0.4912)
O (0.2056, 0.3796, 0.9891)
O (0.2226, 0.1324, 0.5093)
O (0.2252, 0.9632, 0.5020)
O (0.2275, 0.5478, 0.9870)
O (0.2725, 0.0478, 0.4870)
O (0.2748, 0.4632, 0.0020)
O (0.2774, 0.6324, 0.0093)
O (0.2944, 0.8796, 0.4891)
O (0.2990, 0.2911, 0.9912)
O (0.3167, 0.2202, 0.4897)
O (0.4882, 0.4172, 0.4962)
O (0.4973, 0.8312, 0.9953)
O (0.5000, 0.0000, 0.9939)
O (0.5027, 0.1688, 0.9953)
O (0.5118, 0.5828, 0.4962)
O (0.6833, 0.7798, 0.4897)
O (0.7010, 0.7089, 0.9912)
O (0.7056, 0.1204, 0.4891)
O (0.7226, 0.3676, 0.0093)
O (0.7252, 0.5368, 0.0020)
O (0.7275, 0.9522, 0.4870)
O (0.7725, 0.4522, 0.9870)
O (0.7748, 0.0368, 0.5020)
O (0.7774, 0.8676, 0.5093)
O (0.7944, 0.6204, 0.9891)
O (0.7990, 0.2089, 0.4912)
O (0.8167, 0.2798, 0.9897)
O (0.9882, 0.0828, 0.9962)
O (0.9973, 0.6688, 0.4953)

Properties
* formation energy: -3.280 eV per atom
* total magnetization: 0.0 Bohr magnetons per cell
* uncorrected energy: -8.146 eV per atom
* energy with MP2020 corrections: -8.58 eV/atom



## RbCaCl3 (PBE)

Data for a geometry-optimized RbCaCl3 structure.

a b c (Å): 7.6202 7.6202 7.6202
angles (deg): 60.23 60.23 60.23
Element x y z (fractional)
Rb (0.0000, 0.0000, 0.0000)
Rb (0.5000, 0.5000, 0.5000)
Ca (0.2360, 0.2360, 0.2360)
Ca (0.7360, 0.7360, 0.7360)
Cl (0.0516, 0.9185, 0.4774)
Cl (0.4185, 0.5516, 0.9774)
Cl (0.4774, 0.0516, 0.9185)
Cl (0.5516, 0.9774, 0.4185)
Cl (0.9185, 0.4774, 0.0516)
Cl (0.9774, 0.4185, 0.5516)

Properties
* formation energy: -2.613 eV per atom
* uncorrected energy: -3.951 eV per atom
* energy with MP2020 corrections: -4.32 eV/atom



## Sr2Ta2O7 (PBE)

Data for a geometry-optimized Sr2Ta2O7 structure.

a b c (Å): 13.9729 13.9729 5.7557
angles (deg): 90.00 90.00 163.58
Element x y z (fractional)
Sr (0.0534, 0.9466, 0.7500)
Sr (0.2146, 0.7854, 0.2500)
Sr (0.7854, 0.2146, 0.7500)
Sr (0.9466, 0.0534, 0.2500)
Ta (0.3409, 0.6591, 0.2500)
Ta (0.4453, 0.5547, 0.7500)
Ta (0.5547, 0.4453, 0.2500)
Ta (0.6591, 0.3409, 0.7500)
O (0.0470, 0.9530, 0.2500)
O (0.1491, 0.8509, 0.7500)
O (0.2942, 0.7058, 0.0119)
O (0.2942, 0.7058, 0.4881)
O (0.4010, 0.5990, 0.0076)
O (0.4010, 0.5990, 0.4924)
O (0.5000, 0.5000, 0.0000)
O (0.5000, 0.5000, 0.5000)
O (0.5990, 0.4010, 0.5076)
O (0.5990, 0.4010, 0.9924)
O (0.7058, 0.2942, 0.5119)
O (0.7058, 0.2942, 0.9881)
O (0.8509, 0.1491, 0.2500)
O (0.9530, 0.0470, 0.7500)

Properties
* formation energy: -3.502 eV per atom
* uncorrected energy: -8.676 eV per atom
* energy with MP2020 corrections: -9.11 eV/atom



## MgTi2O4 (PBE)

Data for a geometry-optimized MgTi2O4 structure.

a b c (Å): 5.1275 5.1275 2.9649
angles (deg): 90.00 90.00 90.00
Element x y z (fractional)
Mg (0.0000, 0.0000, 0.0000)
Ti (0.0000, 0.5000, 0.7266)
Ti (0.5000, 0.0000, 0.2734)
O (0.1944, 0.7110, 0.2511)
O (0.2890, 0.1944, 0.7489)
O (0.7110, 0.8056, 0.7489)
O (0.8056, 0.2890, 0.2511)

Properties
* formation energy: -2.915 eV per atom
* total magnetization: 2.0 Bohr magnetons per cell
* uncorrected energy: -7.835 eV per atom
* energy with MP2020 corrections: -8.23 eV/atom



## Nd3Se2O2 (PBE)

Data for a geometry-optimized Nd3Se2O2 structure.

a b c (Å): 12.3477 12.3477 9.4004
angles (deg): 95.35 95.35 18.88
Element x y z (fractional)
Nd (0.0000, 0.0000, 0.0000)
Nd (0.0942, 0.0942, 0.3581)
Nd (0.1859, 0.1859, 0.9882)
Nd (0.2791, 0.2791, 0.3489)
Nd (0.4622, 0.4622, 0.3220)
Nd (0.5378, 0.5378, 0.6780)
Nd (0.7209, 0.7209, 0.6511)
Nd (0.8141, 0.8141, 0.0118)
Nd (0.9058, 0.9058, 0.6419)
Se (0.1324, 0.1324, 0.6758)
Se (0.3103, 0.3103, 0.6721)
Se (0.4110, 0.4110, 0.9730)
Se (0.5890, 0.5890, 0.0270)
Se (0.6897, 0.6897, 0.3279)
Se (0.8676, 0.8676, 0.3242)
O (0.0026, 0.0026, 0.2493)
O (0.2771, 0.2771, 0.0911)
O (0.4465, 0.4465, 0.5641)
O (0.5535, 0.5535, 0.4359)
O (0.7229, 0.7229, 0.9089)
O (0.9974, 0.9974, 0.7507)

Properties
* formation energy: -2.799 eV per atom
* total magnetization: 0.1 Bohr magnetons per cell
* uncorrected energy: -7.059 eV per atom
* energy with MP2020 corrections: -7.25 eV/atom



## MgAg14Pb6O18 (PBE)

Data for a geometry-optimized MgAg14Pb6O18 structure.

a b c (Å): 8.7940 9.0119 9.0929
angles (deg): 72.18 72.12 74.39
Element x y z (fractional)
Mg (0.0000, 0.0000, 0.0000)
Ag (0.0428, 0.7843, 0.5614)
Ag (0.1438, 0.3795, 0.1766)
Ag (0.2067, 0.9591, 0.2417)
Ag (0.2190, 0.4394, 0.7265)
Ag (0.2935, 0.5656, 0.3036)
Ag (0.3717, 0.1172, 0.9071)
Ag (0.4549, 0.6760, 0.4954)
Ag (0.5359, 0.7806, 0.0798)
Ag (0.5541, 0.2683, 0.5768)
Ag (0.6161, 0.8673, 0.6550)
Ag (0.6931, 0.4575, 0.2511)
Ag (0.7670, 0.0280, 0.7947)
Ag (0.8622, 0.6495, 0.8908)
Ag (0.9455, 0.2990, 0.0360)
Pb (0.2081, 0.1178, 0.5676)
Pb (0.2352, 0.7487, 0.8806)
Pb (0.5542, 0.1152, 0.2363)
Pb (0.5554, 0.4359, 0.9058)
Pb (0.8586, 0.7707, 0.2583)
Pb (0.8857, 0.4366, 0.5742)
O (0.1240, 0.8047, 0.1593)
O (0.1613, 0.3938, 0.5328)
O (0.1874, 0.0663, 0.8323)
O (0.2329, 0.8515, 0.6083)
O (0.2763, 0.1380, 0.3019)
O (0.2852, 0.4757, 0.9193)
O (0.4893, 0.0932, 0.5064)
O (0.5065, 0.7014, 0.8903)
O (0.5211, 0.3874, 0.1755)
O (0.5636, 0.1714, 0.9707)
O (0.5908, 0.8447, 0.2676)
O (0.6107, 0.4568, 0.6366)
O (0.8241, 0.4442, 0.8353)
O (0.8284, 0.0675, 0.1802)
O (0.8534, 0.7116, 0.5166)
O (0.8939, 0.5047, 0.3064)
O (0.9151, 0.8243, 0.9757)
O (0.9391, 0.1769, 0.6054)

Properties
* formation energy: -0.847 eV per atom
* total magnetization: 0.0 Bohr magnetons per cell
* uncorrected energy: -4.442 eV per atom
* energy with MP2020 corrections: -4.76 eV/atom